1.
Computed, not measured: a geometry-optimized Li2CrP5O15 structure at the PBE+U level of DFT.

Values from the calculation:
As for the space-group type: Pc, No. 7. The value obtained for the energy with MP2020 corrections is -7.602 eV/atom.

Cell: 5.2693 9.5906 13.1171 Å, 90.00 108.70 90.00°
Last column: nearest neighbours and their distance in Å.
Fractional coordinates of all 46 atoms:
Li 0.0000 0.1013 0.0000  3 O 1.86-1.93
Li 0.0000 0.8987 0.5000  3 O 1.86-1.93
Li 0.8807 0.1056 0.6314  3 O 1.90-1.95
Li 0.8807 0.8944 0.1314  3 O 1.90-1.95
Cr 0.9548 0.4974 0.5720  6 O 1.96-2.08
Cr 0.9548 0.5026 0.0720  6 O 1.96-2.08
P 0.3673 0.3184 0.4864  4 O 1.51-1.62
P 0.3673 0.6816 0.9864  4 O 1.51-1.62
P 0.4191 0.0201 0.4268  4 O 1.48-1.63
P 0.4191 0.9799 0.9268  4 O 1.48-1.63
P 0.4621 0.0222 0.2065  4 O 1.48-1.64
P 0.4621 0.9778 0.7065  4 O 1.48-1.64
P 0.5398 0.3228 0.1561  4 O 1.51-1.62
P 0.5398 0.6772 0.6561  4 O 1.51-1.62
P 0.9587 0.4833 0.3219  4 O 1.51-1.62
P 0.9587 0.5167 0.8219  4 O 1.51-1.62
O 0.1820 0.0043 0.1321  1 P 1.50
O 0.1820 0.9957 0.6321  1 P 1.50
O 0.2180 0.3835 0.3683  2 P 1.62
O 0.2180 0.6165 0.8683  2 P 1.62
O 0.2191 0.0930 0.9113  1 P 1.48
O 0.2191 0.9070 0.4113  1 P 1.48
O 0.2327 0.3644 0.5663  1 P 1.51
O 0.2327 0.6356 0.0663  1 P 1.51
O 0.2451 0.3541 0.1305  1 P 1.51
O 0.2451 0.6459 0.6305  1 P 1.51
O 0.2965 0.1588 0.4664  2 P 1.58-1.63
O 0.2965 0.8412 0.9664  2 P 1.58-1.63
O 0.4389 0.0823 0.3167  2 P 1.60
O 0.4389 0.9177 0.8167  2 P 1.60
O 0.5907 0.1610 0.1697  2 P 1.57-1.64
O 0.5907 0.8390 0.6697  2 P 1.57-1.64
O 0.6602 0.0920 0.7209  1 P 1.48
O 0.6602 0.9080 0.2209  1 P 1.48
O 0.6659 0.3427 0.5162  1 P 1.51
O 0.6659 0.6573 0.0162  1 P 1.51
O 0.6733 0.3701 0.0761  1 P 1.51
O 0.6733 0.6299 0.5761  1 P 1.51
O 0.6994 0.0007 0.5006  1 P 1.50
O 0.6994 0.9993 0.0006  1 P 1.50
O 0.7058 0.3792 0.2755  2 P 1.62
O 0.7058 0.6208 0.7755  2 P 1.62
O 0.9179 0.4408 0.9163  1 P 1.51
O 0.9179 0.5592 0.4163  1 P 1.51
O 0.9961 0.4374 0.7285  1 P 1.51
O 0.9961 0.5626 0.2285  1 P 1.51

---

2.
Computed, not measured: a geometry-optimized LiCrP2O7 structure at the PBE+U level of DFT.

Values from the calculation:
As for the space-group type: Cc, No. 9. The value obtained for the energy with MP2020 corrections is -7.690 eV/atom.

Cell: 8.1101 8.1101 8.8789 Å, 109.61 109.61 36.08°
Last column: nearest neighbours and their distance in Å.
Fractional coordinates of all 22 atoms:
Li 0.1728 0.8272 0.5000  2 O 1.86-1.92
Li 0.8272 0.1728 0.0000  2 O 1.86-1.92
Cr 0.1938 0.2124 0.0501  4 O 1.86-2.01
Cr 0.2124 0.1938 0.5501  4 O 1.86-2.01
P 0.4683 0.7370 0.2381  4 O 1.48-1.65
P 0.6626 0.9408 0.3530  3 O 1.48-1.57
P 0.7370 0.4683 0.7381  4 O 1.48-1.65
P 0.9408 0.6626 0.8530  3 O 1.48-1.57
O 0.1028 0.4974 0.7064  1 P 1.53
O 0.1279 0.4585 0.9844  1 P 1.57
O 0.2536 0.9640 0.1154  1 P 1.58
O 0.3201 0.8807 0.3907  1 P 1.55
O 0.4585 0.1279 0.4844  1 P 1.57
O 0.4649 0.5917 0.6664  1 P 1.48
O 0.4974 0.1028 0.2064  1 P 1.53
O 0.5917 0.4649 0.1664  1 P 1.48
O 0.6754 0.7285 0.7933  2 P 1.65-1.66
O 0.7285 0.6754 0.2933  2 P 1.65-1.66
O 0.8203 0.9345 0.9143  1 P 1.48
O 0.8807 0.3201 0.8907  1 P 1.55
O 0.9345 0.8203 0.4143  1 P 1.48
O 0.9640 0.2536 0.6154  1 P 1.58

---

3.
Computed, not measured: a geometry-optimized LiCrP2O7 structure at the PBE+U level of DFT.

Values from the calculation:
As for the space-group type: P2_1/c, No. 14. The value obtained for the energy with MP2020 corrections is -7.738 eV/atom.

Cell: 5.0416 13.4496 9.5020 Å, 90.00 121.42 90.00°
Last column: nearest neighbours and their distance in Å.
Fractional coordinates of all 44 atoms:
Li 0.0102 0.1198 0.3565  2 O 1.95-2.17
Li 0.0102 0.3802 0.8565  2 O 1.95-2.17
Li 0.9898 0.6198 0.1435  2 O 1.95-2.17
Li 0.9898 0.8802 0.6435  2 O 1.95-2.17
Cr 0.0268 0.1679 0.7338  5 O 1.95-2.03
Cr 0.0268 0.3321 0.2338  5 O 1.95-2.03
Cr 0.9732 0.6679 0.7662  5 O 1.95-2.03
Cr 0.9732 0.8321 0.2662  5 O 1.95-2.03
P 0.2693 0.6781 0.5394  4 O 1.53-1.61
P 0.2693 0.8219 0.0394  4 O 1.53-1.61
P 0.4816 0.5288 0.7744  3 O 1.48-1.57
P 0.4816 0.9712 0.2744  3 O 1.48-1.57
P 0.5184 0.0288 0.7256  3 O 1.48-1.57
P 0.5184 0.4712 0.2256  3 O 1.48-1.57
P 0.7307 0.1781 0.9606  4 O 1.53-1.61
P 0.7307 0.3219 0.4606  4 O 1.53-1.61
O 0.0261 0.6939 0.3564  1 P 1.53
O 0.0261 0.8061 0.8564  1 P 1.53
O 0.1702 0.7253 0.6514  1 P 1.53
O 0.1702 0.7747 0.1514  1 P 1.53
O 0.2201 0.5443 0.8148  1 P 1.57
O 0.2201 0.9557 0.3148  1 P 1.57
O 0.2560 0.1077 0.6316  1 P 1.56
O 0.2560 0.3923 0.1316  1 P 1.56
O 0.3071 0.5603 0.5762  2 P 1.61-1.67
O 0.3071 0.9397 0.0762  2 P 1.61-1.67
O 0.4060 0.5750 0.2094  1 P 1.48
O 0.4060 0.9250 0.7094  1 P 1.48
O 0.4136 0.2156 0.9243  1 P 1.53
O 0.4136 0.2844 0.4243  1 P 1.53
O 0.5864 0.7156 0.5757  1 P 1.53
O 0.5864 0.7844 0.0757  1 P 1.53
O 0.5940 0.0750 0.2906  1 P 1.48
O 0.5940 0.4250 0.7906  1 P 1.48
O 0.6929 0.0603 0.9238  2 P 1.61-1.67
O 0.6929 0.4397 0.4238  2 P 1.61-1.67
O 0.7440 0.6077 0.8684  1 P 1.56
O 0.7440 0.8923 0.3684  1 P 1.56
O 0.7799 0.0443 0.6852  1 P 1.57
O 0.7799 0.4557 0.1852  1 P 1.57
O 0.8298 0.2253 0.8486  1 P 1.53
O 0.8298 0.2747 0.3486  1 P 1.53
O 0.9739 0.1939 0.1436  1 P 1.53
O 0.9739 0.3061 0.6437  1 P 1.53

---

4.
Computed, not measured: a geometry-optimized Li2CrP4O13 structure at the PBE+U level of DFT.

Values from the calculation:
As for the space-group type: P-1, No. 2. The value obtained for the energy with MP2020 corrections is -7.519 eV/atom.

Cell: 5.0586 7.9587 13.3315 Å, 78.40 87.43 81.96°
Last column: nearest neighbours and their distance in Å.
Fractional coordinates of all 40 atoms:
Li 0.0728 0.3239 0.0181  3 O 1.90-2.00
Li 0.4062 0.3041 0.4842  2 O 1.90-1.97
Li 0.5938 0.6959 0.5158  2 O 1.90-1.97
Li 0.9272 0.6761 0.9819  3 O 1.90-2.00
Cr 0.4502 0.0482 0.2569  6 O 1.91-2.01
Cr 0.5498 0.9518 0.7431  6 O 1.91-2.01
P 0.0064 0.1055 0.8498  4 O 1.49-1.64
P 0.0958 0.8010 0.6394  4 O 1.49-1.63
P 0.3212 0.6571 0.3042  4 O 1.48-1.62
P 0.3519 0.5738 0.8232  4 O 1.50-1.60
P 0.6481 0.4262 0.1768  4 O 1.50-1.60
P 0.6788 0.3429 0.6958  4 O 1.48-1.62
P 0.9042 0.1990 0.3606  4 O 1.49-1.63
P 0.9936 0.8945 0.1502  4 O 1.49-1.64
O 0.0422 0.7377 0.2512  2 P 1.60-1.64
O 0.0697 0.8214 0.0568  1 P 1.49
O 0.1274 0.6434 0.7385  2 P 1.60-1.63
O 0.1638 0.0356 0.1677  1 P 1.57
O 0.2048 0.1336 0.3639  1 P 1.54
O 0.2089 0.7386 0.5458  1 P 1.49
O 0.2120 0.5205 0.9236  1 P 1.50
O 0.2545 0.9439 0.6608  1 P 1.56
O 0.2852 0.5106 0.3894  1 P 1.48
O 0.3011 0.0309 0.8451  1 P 1.53
O 0.4504 0.8039 0.3322  1 P 1.53
O 0.4543 0.2945 0.1826  1 P 1.52
O 0.4968 0.5982 0.2091  2 P 1.60-1.62
O 0.5032 0.4018 0.7909  2 P 1.60-1.62
O 0.5457 0.7055 0.8174  1 P 1.52
O 0.5496 0.1961 0.6678  1 P 1.53
O 0.6989 0.9691 0.1549  1 P 1.53
O 0.7148 0.4894 0.6106  1 P 1.48
O 0.7455 0.0561 0.3392  1 P 1.56
O 0.7880 0.4795 0.0764  1 P 1.50
O 0.7911 0.2614 0.4542  1 P 1.49
O 0.7952 0.8664 0.6361  1 P 1.54
O 0.8362 0.9644 0.8323  1 P 1.57
O 0.8726 0.3566 0.2615  2 P 1.60-1.63
O 0.9303 0.1786 0.9432  1 P 1.49
O 0.9578 0.2623 0.7488  2 P 1.60-1.64

---

Number 1: mass density 2.44 g/cm3, ΔE_f -2.612 eV per atom, total magnetic moment 3.00 μB per formula unit. Number 2: mass density 2.40 g/cm3, ΔE_f -2.506 eV per atom, total magnetic moment 3.00 μB per formula unit. Number 3: mass density 2.81 g/cm3, ΔE_f -2.554 eV per atom, total magnetic moment 3.00 μB per formula unit. Number 4: mass density 2.54 g/cm3, ΔE_f -2.547 eV per atom, total magnetic moment 2.00 μB per formula unit.